A plane-wave DFT calculation with PBE-GGA was carried out for a relaxed structure of USNO9.

**Symmetry**: P2_1/c
**M_tot**: 0.16 μB/atom
**Energy of formation**: -0.817 eV per atom

Cell: 18.6420 6.8621 8.8328 Å, 63.04 90.00 90.00°
Positions (direct):
O 0.8707 0.8194 0.6533
O 0.9357 0.9888 0.3816
O 0.9985 0.2971 0.0603
O 0.9847 0.5164 0.6966
O 0.3756 0.0257 0.4527
O 0.1434 0.8279 0.0722
O 0.6383 0.5192 0.5092
O 0.6965 0.9817 0.8867
O 0.1965 0.0183 0.6133
O 0.8756 0.9743 0.0473
O 0.6244 0.9743 0.5473
O 0.5015 0.2971 0.5603
O 0.3707 0.1806 0.8467
O 0.1744 0.1530 0.8745
O 0.8035 0.9817 0.3867
O 0.6434 0.1721 0.4278
O 0.0153 0.4836 0.3034
O 0.6293 0.8194 0.1533
O 0.5153 0.5164 0.1966
O 0.8566 0.1721 0.9278
O 0.8256 0.8470 0.1255
O 0.0643 0.0112 0.6184
O 0.0015 0.7029 0.9397
O 0.1383 0.4808 0.9908
O 0.5643 0.9888 0.8816
O 0.4985 0.7029 0.4397
O 0.1244 0.0257 0.9527
O 0.6744 0.8470 0.6255
O 0.4847 0.4836 0.8034
O 0.3617 0.4808 0.4908
O 0.4357 0.0112 0.1184
O 0.3035 0.0183 0.1133
O 0.1293 0.1806 0.3467
O 0.3566 0.8279 0.5722
O 0.8617 0.5192 0.0092
O 0.3256 0.1530 0.3745
N 0.3686 0.7794 0.0148
N 0.6314 0.2206 0.9852
N 0.1314 0.7794 0.5148
N 0.8686 0.2206 0.4852
S 0.3699 0.0098 0.0302
S 0.1301 0.0098 0.5302
S 0.8699 0.9902 0.4698
S 0.6301 0.9902 0.9698
U 0.5690 0.5202 0.3654
U 0.9310 0.5202 0.8654
U 0.4310 0.4798 0.6346
U 0.0690 0.4798 0.1346

***

A plane-wave DFT calculation with PBE-GGA was carried out for a relaxed structure of TaVH4.

**Symmetry**: R-3m
**Energy of formation**: -0.266 eV per atom

Cell: 5.3763 5.3763 5.3763 Å, 33.63 33.63 33.63°
Positions (direct):
H 0.6193 0.6193 0.6193
H 0.3807 0.3807 0.3807
H 0.1298 0.1298 0.1298
H 0.8702 0.8702 0.8702
V 0.5000 0.5000 0.5000
Ta 0.0000 0.0000 0.0000

***

A plane-wave DFT calculation with PBE-GGA was carried out for a relaxed structure of Pr4CrS7.

**Symmetry**: P2_1
**Offset from the most stable computed form**: 81 meV per atom
**M_tot**: 0.31 μB/atom
**Energy of formation**: -1.882 eV per atom

Cell: 6.4962 10.2472 10.2521 Å, 120.10 90.00 90.00°
Positions (direct):
S 0.5009 0.5157 0.4155
S 0.4990 0.5862 0.1022
S 0.2089 0.2576 0.0998
S 0.2086 0.9006 0.1574
S 0.9990 0.4138 0.8978
S 0.9754 0.6669 0.3330
S 0.2089 0.8423 0.7423
S 0.4993 0.8970 0.4833
S 0.7089 0.7424 0.9002
S 0.0009 0.4843 0.5845
S 0.9993 0.1030 0.5167
S 0.4754 0.3331 0.6670
S 0.7086 0.0994 0.8426
S 0.7089 0.1577 0.2577
Pr 0.2610 0.1460 0.7487
Pr 0.2616 0.2519 0.3977
Pr 0.4644 0.0000 0.0000
Pr 0.7610 0.8540 0.2513
Pr 0.7610 0.3978 0.1456
Pr 0.2610 0.6022 0.8544
Pr 0.9644 0.0000 0.0000
Pr 0.7616 0.7481 0.6023
Cr 0.8409 0.3340 0.6658
Cr 0.3409 0.6660 0.3342

***

A plane-wave DFT calculation with PBE-GGA was carried out for a relaxed structure of Mg2AlCr3S8.

**Symmetry**: R-3m
**M_tot**: 0.64 μB/atom
**Energy of formation**: -1.259 eV per atom

Cell: 7.2248 7.2247 7.2247 Å, 60.10 60.10 60.10°
Positions (direct):
Cr 0.5000 0.5000 0.0000
Cr 0.0000 0.5000 0.5000
Cr 0.5000 0.0000 0.5000
S 0.7370 0.7370 0.2892
S 0.2633 0.2633 0.2633
S 0.7370 0.2891 0.7369
S 0.2891 0.7370 0.7370
S 0.2630 0.7109 0.2630
S 0.7367 0.7367 0.7367
S 0.2630 0.2630 0.7108
S 0.7109 0.2630 0.2630
Mg 0.1248 0.1248 0.1248
Mg 0.8752 0.8752 0.8752
Al 0.5000 0.5000 0.5000

***

A plane-wave DFT calculation with PBE-GGA was carried out for a relaxed structure of LaN2Cl5.

**Symmetry**: Pnma
**Energy of formation**: -1.459 eV per atom

Cell: 8.3667 8.6831 12.9521 Å, 90.00 90.00 90.00°
Positions (direct):
N 0.4612 0.0329 0.9730
N 0.9612 0.4671 0.4730
N 0.5388 0.9671 0.0270
N 0.9612 0.9671 0.0270
N 0.0388 0.5329 0.5270
N 0.0388 0.0329 0.9730
N 0.5388 0.4671 0.4730
N 0.4612 0.5329 0.5270
Cl 0.2500 0.4707 0.3092
Cl 0.7500 0.7102 0.2299
Cl 0.7500 0.0293 0.8092
Cl 0.9540 0.1352 0.5828
Cl 0.2500 0.7393 0.1743
Cl 0.5460 0.1352 0.5828
Cl 0.2500 0.2393 0.3257
Cl 0.0460 0.8648 0.4172
Cl 0.2500 0.9707 0.1908
Cl 0.9540 0.6352 0.9172
Cl 0.7500 0.2607 0.8257
Cl 0.7500 0.5293 0.6908
Cl 0.7500 0.7607 0.6743
Cl 0.2500 0.2898 0.7701
Cl 0.5460 0.6352 0.9172
Cl 0.2500 0.7898 0.7299
Cl 0.0460 0.3648 0.0828
Cl 0.7500 0.2102 0.2701
Cl 0.4540 0.3648 0.0828
Cl 0.4540 0.8648 0.4172
La 0.2500 0.9878 0.5760
La 0.7500 0.0122 0.4240
La 0.7500 0.5122 0.0760
La 0.2500 0.4878 0.9240

***

A plane-wave DFT calculation with PBE-GGA was carried out for a relaxed structure of Li5TiN3.

**Largest piezoelectric modulus**: 0.46 C/m2
**Symmetry**: P1
**M_tot**: 0.00 μB/atom
**Energy of formation**: -0.974 eV per atom

Cell: 8.4516 8.4672 21.3068 Å, 97.61 97.60 109.44°
Positions (direct):
Li 0.4357 0.9161 0.0712
Li 0.4182 0.8764 0.5792
Li 0.1675 0.6789 0.0697
Li 0.7647 0.7466 0.7523
Li 0.3366 0.6176 0.6790
Li 0.4211 0.6923 0.3389
Li 0.0703 0.3633 0.6615
Li 0.5162 0.7349 0.4943
Li 0.9398 0.1684 0.3328
Li 0.0126 0.2662 0.0010
Li 0.8997 0.4662 0.5849
Li 0.6053 0.8323 0.6676
Li 0.0178 0.5175 0.7586
Li 0.2494 0.7826 0.2592
Li 0.3498 0.0773 0.6475
Li 0.3351 0.3571 0.4180
Li 0.8443 0.0916 0.1752
Li 0.1773 0.1877 0.0791
Li 0.3984 0.1241 0.8324
Li 0.5120 0.9683 0.2529
Li 0.1324 0.9218 0.8349
Li 0.4988 0.0119 0.7370
Li 0.1920 0.4231 0.3379
Li 0.5260 0.7507 0.9998
Li 0.7139 0.4713 0.4886
Li 0.8556 0.3138 0.9182
Li 0.2414 0.0009 0.0060
Li 0.5863 0.3226 0.6820
Li 0.7426 0.9791 0.4929
Li 0.9159 0.6650 0.3449
Li 0.8345 0.8430 0.4137
Li 0.2661 0.5023 0.9954
Li 0.6826 0.1815 0.0904
Li 0.6422 0.6689 0.0864
Li 0.0753 0.3149 0.1590
Li 0.6836 0.6595 0.5830
Li 0.4028 0.6472 0.8238
Li 0.0668 0.7884 0.1652
Li 0.8236 0.3371 0.4038
Li 0.9512 0.1848 0.8383
Li 0.2572 0.0031 0.5082
Li 0.0711 0.0824 0.9222
Li 0.9377 0.4258 0.0868
Li 0.2200 0.2515 0.2475
Li 0.5499 0.5786 0.9112
Li 0.8595 0.0858 0.6660
Li 0.2635 0.7800 0.7627
Li 0.9224 0.6755 0.8403
Li 0.0789 0.5594 0.9171
Li 0.8055 0.5641 0.1531
Li 0.5787 0.5816 0.4083
Li 0.5853 0.1236 0.9219
Li 0.8835 0.9146 0.5789
Li 0.8170 0.8301 0.9221
Li 0.4749 0.4856 0.2580
Li 0.4699 0.2320 0.4862
Li 0.7819 0.2396 0.7465
Li 0.6752 0.4290 0.3268
Li 0.1367 0.1458 0.5899
Li 0.5176 0.5265 0.7458
Li 0.3233 0.3052 0.9197
Li 0.7366 0.2248 0.2538
Li 0.1753 0.4251 0.8434
Li 0.5896 0.3400 0.1753
Li 0.5967 0.8649 0.1619
Li 0.0207 0.9918 0.2512
Li 0.7457 0.0263 0.9977
Li 0.4865 0.2298 0.0057
Li 0.0151 0.7543 0.9857
Li 0.4279 0.4107 0.0834
Li 0.9750 0.0003 0.7532
Li 0.1016 0.5770 0.4082
Li 0.6751 0.9418 0.3419
Li 0.2621 0.5286 0.4943
Li 0.8195 0.5676 0.6760
Li 0.0973 0.0834 0.4188
Li 0.3406 0.8356 0.4238
Li 0.5976 0.0934 0.4232
Li 0.1779 0.6348 0.5860
Li 0.1527 0.9021 0.3429
N 0.1844 0.1608 0.3338
N 0.3437 0.5932 0.4157
N 0.8589 0.1112 0.4267
N 0.7713 0.7413 0.4977
N 0.0904 0.0644 0.1594
N 0.1761 0.6848 0.8402
N 0.3258 0.0600 0.9172
N 0.8847 0.9175 0.8347
N 0.3297 0.3331 0.6661
N 0.4173 0.9396 0.3370
N 0.4227 0.6356 0.5878
N 0.5672 0.5957 0.1734
N 0.9025 0.6700 0.0746
N 0.9756 0.7281 0.2498
N 0.1929 0.4437 0.0926
N 0.6718 0.6790 0.3266
N 0.2356 0.0098 0.7402
N 0.6958 0.9250 0.0827
N 0.0760 0.8261 0.4286
N 0.2319 0.5086 0.2409
N 0.5985 0.0838 0.6567
N 0.7485 0.4863 0.7607
N 0.6347 0.3956 0.5840
N 0.8015 0.5562 0.9126
N 0.7574 0.9768 0.2522
N 0.5182 0.7746 0.7562
N 0.6652 0.1672 0.8299
N 0.2344 0.2628 0.5111
N 0.9919 0.4957 0.4992
N 0.8435 0.3444 0.1741
N 0.9891 0.9939 0.0066
N 0.2647 0.7597 0.9916
N 0.7510 0.2785 0.0038
N 0.5670 0.3184 0.4056
N 0.8526 0.8291 0.6662
N 0.0355 0.2569 0.7475
N 0.9005 0.1783 0.5763
N 0.9226 0.4187 0.3232
N 0.0791 0.6112 0.6694
N 0.5124 0.0124 0.5088
N 0.4234 0.3956 0.8209
N 0.5721 0.8422 0.9082
N 0.4713 0.2228 0.2465
N 0.0943 0.3302 0.9196
N 0.3309 0.8319 0.1654
N 0.5207 0.4947 0.0009
N 0.4128 0.1574 0.0954
N 0.1447 0.8915 0.5821
Ti 0.9941 0.7366 0.4996
Ti 0.7426 0.7471 0.2514
Ti 0.7431 0.4972 0.9978
Ti 0.3318 0.8357 0.9149
Ti 0.9909 0.4967 0.2483
Ti 0.9935 0.2634 0.5010
Ti 0.0763 0.8326 0.6647
Ti 0.6594 0.1663 0.5812
Ti 0.3288 0.5945 0.1670
Ti 0.3281 0.0686 0.1654
Ti 0.4061 0.4111 0.5871
Ti 0.2517 0.2491 0.7440
Ti 0.6623 0.9265 0.8320
Ti 0.6627 0.4001 0.8312
Ti 0.9164 0.9139 0.0797
Ti 0.4105 0.1607 0.3323

***

A plane-wave DFT calculation with PBE-GGA was carried out for a relaxed structure of Ca9La5Br33.

**Symmetry**: P-1
**M_tot**: 0.00 μB/atom
**Energy of formation**: -2.316 eV per atom

Cell: 11.8115 11.9263 22.2418 Å, 98.46 100.95 110.04°
Positions (direct):
Br 0.4696 0.1172 0.4645
Br 0.7669 0.6498 0.3022
Br 0.0403 0.5574 0.3739
Br 0.5536 0.8120 0.2625
Br 0.5412 0.3927 0.0461
Br 0.3414 0.1933 0.2652
Br 0.1491 0.9923 0.6346
Br 0.5583 0.1074 0.0701
Br 0.2331 0.3502 0.6978
Br 0.7554 0.4604 0.4152
Br 0.6435 0.7234 0.1107
Br 0.1846 0.7753 0.5173
Br 0.8610 0.4628 0.0230
Br 0.0666 0.8620 0.3302
Br 0.2654 0.9509 0.8066
Br 0.1863 0.2762 0.0251
Br 0.5896 0.5724 0.8210
Br 0.5993 0.1222 0.3311
Br 0.1161 0.8231 0.9421
Br 0.0915 0.3604 0.8263
Br 0.3565 0.2766 0.8893
Br 0.1390 0.5372 0.9770
Br 0.3955 0.3080 0.5851
Br 0.4588 0.6073 0.9539
Br 0.8830 0.6778 0.5643
Br 0.4419 0.3865 0.4302
Br 0.6575 0.1966 0.6212
Br 0.2446 0.5396 0.5848
Br 0.8839 0.1769 0.0579
Br 0.9597 0.4426 0.6261
Br 0.9597 0.8670 0.7241
Br 0.0481 0.0640 0.8752
Br 0.9724 0.3662 0.2202
Br 0.6607 0.3212 0.2336
Br 0.5304 0.8828 0.5355
Br 0.5581 0.6135 0.5698
Br 0.7468 0.9530 0.9062
Br 0.4464 0.1880 0.7375
Br 0.3425 0.8034 0.3788
Br 0.2327 0.8620 0.2091
Br 0.0276 0.6338 0.7798
Br 0.9334 0.1380 0.6698
Br 0.3705 0.8010 0.0837
Br 0.8509 0.0077 0.3654
Br 0.7673 0.1380 0.7909
Br 0.7108 0.5048 0.6850
Br 0.2892 0.4952 0.3150
Br 0.7346 0.0491 0.1934
Br 0.4104 0.4276 0.1790
Br 0.9519 0.9360 0.1248
Br 0.1493 0.0517 0.4862
Br 0.6586 0.8067 0.7348
Br 0.1170 0.3222 0.4357
Br 0.3393 0.6788 0.7664
Br 0.0403 0.1330 0.2759
Br 0.8137 0.7238 0.9749
Br 0.8154 0.2247 0.4827
Br 0.1709 0.5428 0.1402
Br 0.4007 0.8778 0.6689
Br 0.2532 0.0470 0.0938
Br 0.8507 0.9483 0.5138
Br 0.6045 0.6920 0.4149
Br 0.8291 0.4572 0.8598
Br 0.6295 0.1990 0.9163
Br 0.9085 0.6396 0.1737
Br 0.4417 0.8926 0.9299
La 0.1374 0.6437 0.2646
La 0.6323 0.4555 0.9301
La 0.8260 0.8635 0.2372
La 0.3785 0.0474 0.5844
La 0.1740 0.1365 0.7628
La 0.8626 0.3563 0.7354
La 0.3677 0.5445 0.0699
La 0.5336 0.4559 0.3160
La 0.6215 0.9526 0.4156
La 0.4664 0.5441 0.6840
Ca 0.9107 0.2359 0.9274
Ca 0.1327 0.7378 0.6657
Ca 0.6876 0.4021 0.5428
Ca 0.9313 0.7422 0.4395
Ca 0.0687 0.2578 0.5605
Ca 0.7635 0.8545 0.6178
Ca 0.3176 0.0812 0.9711
Ca 0.1325 0.2025 0.1529
Ca 0.7637 0.3482 0.1197
Ca 0.2363 0.6518 0.8803
Ca 0.5206 0.9818 0.8060
Ca 0.0893 0.7641 0.0726
Ca 0.8673 0.2622 0.3343
Ca 0.2365 0.1455 0.3822
Ca 0.3124 0.5979 0.4572
Ca 0.8675 0.7975 0.8471
Ca 0.6824 0.9188 0.0289
Ca 0.4794 0.0182 0.1940

***

A plane-wave DFT calculation with PBE-GGA was carried out for a relaxed structure of TaCo.

**Symmetry**: R-3m
**Energy of formation**: -0.248 eV per atom

Cell: 17.7011 17.7011 17.7011 Å, 15.99 15.99 15.99°
Positions (direct):
Ta 0.2254 0.2254 0.2254
Ta 0.8268 0.8268 0.8268
Ta 0.4169 0.4169 0.4169
Ta 0.9186 0.9186 0.9186
Ta 0.2764 0.2764 0.2764
Ta 0.0814 0.0814 0.0814
Ta 0.5831 0.5831 0.5831
Ta 0.6708 0.6708 0.6708
Ta 0.1732 0.1732 0.1732
Ta 0.3292 0.3292 0.3292
Ta 0.7746 0.7746 0.7746
Ta 0.7236 0.7236 0.7236
Ta 0.5000 0.5000 0.5000
Co 0.0000 0.0000 0.0000
Co 0.7107 0.1989 0.7107
Co 0.7973 0.2917 0.7973
Co 0.7107 0.7107 0.1989
Co 0.2917 0.7973 0.7973
Co 0.7973 0.7973 0.2917
Co 0.7083 0.2027 0.2027
Co 0.2027 0.2027 0.7083
Co 0.2893 0.8011 0.2893
Co 0.8011 0.2893 0.2893
Co 0.2893 0.2893 0.8011
Co 0.1989 0.7107 0.7107
Co 0.2027 0.7083 0.2027